1.
Material: LiMnO2
Method: DFT, GGA+U
State: optimized geometry

## Properties
The value obtained for the formation energy is -48.73 kcal/mol of atoms. Its space group is No. 1.

abc: 5.9209 5.9564 10.3451
angles: 88.62 72.40 60.47
Closest atoms and distances in Å follow each position.
Fractional positions:
Li (0.4996, 0.4999, 0.5000)  6 O 2.07-2.15
Li (0.5001, 0.0002, 0.0000)  6 O 2.09-2.14
Li (0.9987, 0.7471, 0.2497)  6 O 2.08-2.17
Li (0.0012, 0.2530, 0.7504)  6 O 2.07-2.17
Li (0.4996, 0.7710, 0.7615)  4 O 2.01-2.18
Li (0.5011, 0.2290, 0.2388)  4 O 2.01-2.18
Li (0.9979, 0.7649, 0.7520)  5 O 2.01-2.24
Li (0.0026, 0.2351, 0.2478)  5 O 2.01-2.24
Mn (0.5074, 0.7330, 0.2479)  6 O 2.11-2.24
Mn (0.4928, 0.2671, 0.7520)  6 O 2.11-2.24
Mn (0.0001, 0.5001, 0.9999)  6 O 1.96-2.18
Mn (0.9997, 0.9999, 0.4999)  6 O 1.94-1.97
Mn (0.5002, 0.5002, 0.0000)  4 O 1.96-2.00
Mn (0.4996, 0.9999, 0.5001)  4 O 1.95-2.01
Mn (0.9997, 0.4998, 0.4999)  4 O 1.98-1.99
Mn (0.0002, 0.0000, 0.0000)  6 O 2.01-2.09
O (0.7527, 0.6106, 0.8920)  2 Mn 1.96, 3 Li 2.14-2.18
O (0.7535, 0.1071, 0.3936)  2 Mn 1.94-1.95, 2 Li 2.15-2.17
O (0.2458, 0.8927, 0.6064)  2 Mn 1.94-1.95, 3 Li 2.15-2.17
O (0.2478, 0.3898, 0.1080)  2 Mn 1.96, 3 Li 2.14-2.18
O (0.2462, 0.6461, 0.8661)  2 Li 2.01, 4 Mn 2.09-2.20
O (0.2364, 0.1036, 0.3693)  2 Mn 1.96-2.11, 2 Li 2.01-2.16
O (0.7631, 0.8962, 0.6308)  2 Mn 1.96-2.11, 2 Li 2.01-2.15
O (0.7543, 0.3541, 0.1338)  2 Li 2.01, 4 Mn 2.09-2.20
O (0.7485, 0.6405, 0.3911)  2 Mn 1.98-2.01, 2 Li 2.08
O (0.7462, 0.1449, 0.8885)  3 Mn 2.00-2.22, 3 Li 2.08-2.21
O (0.2189, 0.6485, 0.3909)  3 Mn 1.97-2.15, 2 Li 2.11-2.13
O (0.2352, 0.1435, 0.8827)  3 Mn 2.03-2.12, 3 Li 2.10-2.11
O (0.2541, 0.8553, 0.1115)  3 Mn 2.00-2.22, 3 Li 2.09-2.21
O (0.2510, 0.3593, 0.6089)  2 Mn 1.98-2.01, 2 Li 2.07
O (0.7652, 0.8566, 0.1174)  3 Mn 2.03-2.12, 3 Li 2.10-2.11
O (0.7804, 0.3512, 0.6091)  3 Mn 1.97-2.15, 2 Li 2.11-2.13

2.
Material: VO2F
Method: DFT, GGA+U
State: optimized geometry

## Properties
The value obtained for the formation energy is -56.14 kcal/mol of atoms. Its space group is No. 1.

abc: 5.1033 5.1476 13.0335
angles: 91.21 89.97 119.47
Closest atoms and distances in Å follow each position.
Fractional positions:
V (0.9430, 0.9599, 0.5035)  2 O 1.67-1.73
V (0.9547, 0.9915, 0.9983)  2 O 1.66-1.73, 1 F 1.86
V (0.6318, 0.3521, 0.1677)  2 O 1.67-1.68
V (0.2799, 0.6354, 0.3347)  2 O 1.68-1.70, 1 F 1.87
V (0.7144, 0.3559, 0.6670)  3 O 1.71-1.90
V (0.3635, 0.7317, 0.8307)  2 O 1.68-1.70
O (0.0115, 0.4137, 0.2501)  1 V 1.68
O (0.3470, 0.2534, 0.0845)  1 V 1.67
O (0.5838, 0.0018, 0.7475)  1 V 1.70
O (0.9944, 0.5801, 0.7517)  1 V 1.71
O (0.7594, 0.0735, 0.0821)  1 V 1.66
O (0.0948, 0.7495, 0.4165)  1 V 1.70
O (0.5960, 0.5870, 0.2507)  1 V 1.68
O (0.9208, 0.2546, 0.5860)  2 V 1.74-1.89
O (0.2639, 0.9165, 0.9156)  1 V 1.68
O (0.7375, 0.6612, 0.5815)  2 V 1.73-1.90
O (0.6788, 0.7441, 0.9140)  2 V 1.73-1.92
O (0.6846, 0.9216, 0.4168)  1 V 1.67
F (0.4159, 0.9995, 0.2496)  2 V 1.94-2.01
F (0.3342, 0.0811, 0.5836)  2 V 2.05
F (0.0744, 0.3257, 0.9184)  1 V 1.86
F (0.2715, 0.3361, 0.4165)  1 V 1.87
F (0.4079, 0.4095, 0.7494)  2 V 2.02-2.05
F (0.9364, 0.6646, 0.0836)  2 V 1.95-2.00

3.
Material: Li4Fe3Co2Ni3O16
Method: DFT, GGA+U
State: optimized geometry

## Properties
The value obtained for the formation energy is -27.90 kcal/mol of atoms. Its space group is No. 8.

abc: 5.8132 5.8132 9.2884
angles: 89.75 89.75 60.27
Closest atoms and distances in Å follow each position.
Fractional positions:
Li (0.3293, 0.3293, 0.1057)  4 O 1.94-1.95
Li (0.0060, 0.0060, 0.0075)  3 O 1.79-1.95
Li (0.0057, 0.0057, 0.5057)  4 O 1.79-1.97
Li (0.6638, 0.6638, 0.5992)  4 O 1.93-1.96
Fe (0.6592, 0.1688, 0.7874)  6 O 1.94-2.03
Fe (0.1688, 0.6592, 0.7874)  6 O 1.94-2.03
Fe (0.8311, 0.8311, 0.2866)  6 O 1.96-2.02
Co (0.3335, 0.3335, 0.5143)  6 O 1.90-1.97
Co (0.6637, 0.6637, 0.0180)  6 O 1.92-1.98
Ni (0.1724, 0.1724, 0.7891)  6 O 1.86-2.06
Ni (0.8281, 0.3428, 0.2874)  6 O 1.87-2.06
Ni (0.3428, 0.8281, 0.2874)  6 O 1.87-2.06
O (0.6655, 0.1691, 0.4022)  1 Li 1.97, 1 Co 1.97, 1 Ni 1.99, 1 Fe 2.02
O (0.4774, 0.4774, 0.6510)  1 Co 1.93, 1 Li 1.93, 2 Fe 2.01
O (0.3297, 0.3297, 0.8970)  1 Ni 1.88, 1 Li 1.94, 2 Fe 1.95
O (0.0080, 0.0080, 0.6985)  1 Li 1.79, 1 Ni 1.86, 2 Fe 1.94
O (0.0093, 0.0093, 0.2002)  1 Li 1.79, 2 Ni 1.87, 1 Fe 1.96
O (0.1691, 0.6655, 0.4022)  1 Li 1.97, 1 Co 1.97, 1 Ni 1.99, 1 Fe 2.02
O (0.4804, 0.0414, 0.6490)  1 Co 1.93, 1 Li 1.96, 1 Fe 2.02, 1 Ni 2.03
O (0.0414, 0.4804, 0.6490)  1 Co 1.93, 1 Li 1.96, 1 Fe 2.02, 1 Ni 2.03
O (0.8303, 0.8303, 0.9043)  1 Co 1.98, 1 Li 2.01, 2 Fe 2.02
O (0.1744, 0.1744, 0.4043)  1 Co 1.90, 1 Li 1.94, 2 Ni 2.06
O (0.9529, 0.5184, 0.1528)  1 Co 1.93, 1 Li 1.95, 1 Ni 1.96, 1 Fe 2.02
O (0.5184, 0.9529, 0.1528)  1 Co 1.93, 1 Li 1.95, 1 Ni 1.96, 1 Fe 2.02
O (0.6600, 0.6600, 0.3905)  2 Ni 1.87, 1 Li 1.94, 1 Fe 1.97
O (0.8249, 0.3432, 0.9052)  1 Co 1.93, 1 Li 1.95, 1 Fe 2.03, 1 Ni 2.06
O (0.5181, 0.5181, 0.1520)  1 Co 1.92, 1 Li 1.95, 2 Ni 2.01
O (0.3432, 0.8249, 0.9052)  1 Co 1.93, 1 Li 1.95, 1 Fe 2.03, 1 Ni 2.06